--- one ---
VASP calculation (PBE with a Hubbard U) on a geometry-optimized Rb2MnH12Se2O14 structure.

Geometry as extended XYZ:
```
62
Lattice="6.5057 0.0000 0.0000 0.0000 13.0143 0.0000 -2.4928 0.0000 9.2461" Properties=species:S:1:pos:R:3 pbc="T T T"
Rb 0.0790 1.9340 3.4587
Rb -1.1674 4.5731 8.0818
Rb 5.1803 8.4412 1.1643
Rb 3.9339 11.0803 5.7873
Mn 3.2529 0.0000 0.0000
Mn 2.0065 6.5071 4.6230
H -0.4645 7.3273 5.5805
H 0.7819 12.1942 0.9575
H -0.1119 8.3477 4.4115
H -1.3583 11.1737 9.0346
H -0.8357 1.2149 7.2584
H 0.4107 5.2922 2.6353
H 0.6865 1.6780 6.9709
H 1.9329 4.8292 2.3478
H 2.1944 7.8305 2.1135
H 0.9480 11.6909 6.7365
H 2.3243 8.9477 3.2375
H 1.0779 10.5737 7.8606
H 2.9350 2.4406 1.3855
H 1.6886 4.0665 6.0085
H 3.0650 1.3234 2.5096
H 1.8186 5.1838 7.1326
H 2.0801 8.1851 6.8982
H 3.3265 11.3363 2.2752
H 3.6022 7.7221 6.6107
H 4.8486 11.7994 1.9877
H 5.3713 1.8405 0.2115
H 4.1249 4.6666 4.8345
H 3.2311 0.8201 8.2885
H 4.4775 5.6870 3.6655
Se -0.7438 8.3586 8.3545
Se 0.5026 11.1628 3.7315
Se 3.5104 1.8515 5.5146
Se 4.7568 4.6556 0.8916
O -1.7894 9.6736 8.4215
O -0.5430 9.8478 3.7985
O -1.2664 7.3580 7.0992
O -0.0200 12.1634 2.4762
O 0.0502 7.4171 4.7336
O 1.2966 12.1043 0.1105
O 1.6502 7.4761 0.5215
O 0.4038 12.0453 5.1445
O 0.0375 1.4502 7.6808
O 1.2839 5.0569 3.0577
O 0.8357 8.8777 8.0798
O 2.0821 10.6437 3.4568
O 2.7135 1.4883 1.5893
O 1.4671 5.0189 6.2124
O 2.5458 7.9954 3.0337
O 1.2994 11.5260 7.6567
O 1.9308 2.3705 5.7892
O 3.1772 4.1366 1.1662
O 2.7291 7.9574 6.1883
O 3.9755 11.5640 1.5653
O 3.6092 0.9690 4.1016
O 2.3628 5.5381 8.7246
O 2.7163 0.9100 9.1355
O 3.9627 5.5972 4.5125
O 4.0330 0.8509 6.7699
O 5.2794 5.6562 2.1469
O 4.5560 3.1665 5.4476
O 5.8024 3.3406 0.8246
```

Calculated values
Size of the total moment, μB per formula unit: 5.18

--- two ---
VASP calculation (PBE with a Hubbard U) on a geometry-optimized Rb2MnH12Se2O14 structure.

Geometry as extended XYZ:
```
62
Lattice="7.0038 0.0000 0.0000 0.0000 13.0622 0.0000 -2.9349 0.0000 9.0568" Properties=species:S:1:pos:R:3 pbc="T T T"
Rb 0.0388 1.6052 3.8107
Rb -1.4287 4.9259 8.3391
Rb 5.4975 8.1363 0.7177
Rb 4.0301 11.4570 5.2460
Mn 3.5019 0.0000 0.0000
Mn 2.0344 6.5311 4.5284
H -2.0357 0.8668 7.2114
H -0.5683 5.6643 2.6831
H -0.8521 7.2246 5.9206
H 0.6154 12.3687 1.3923
H -0.0391 7.9059 3.9424
H -1.5065 11.6874 8.4708
H 0.6841 9.5876 5.5946
H 2.1515 10.0057 1.0662
H 2.2665 7.6106 2.2243
H 0.7991 11.9827 6.7527
H 2.4003 8.7727 3.3487
H 0.9329 10.8207 7.8771
H 3.1360 2.2416 1.1797
H 1.6685 4.2896 5.7080
H 3.2698 1.0795 2.3041
H 1.8023 5.4516 6.8325
H 1.9173 3.0565 7.9905
H 3.3848 3.4746 3.4622
H 5.5754 1.3748 0.5859
H 4.1079 5.1563 5.1143
H 3.4535 0.6935 7.6645
H 4.9209 5.8376 3.1361
H 4.6371 7.3979 6.3737
H 6.1046 12.1954 1.8453
Se -0.9825 9.0974 8.9259
Se 0.4850 10.4959 4.3975
Se 3.5839 2.5663 4.6592
Se 5.0513 3.9648 0.1308
O -2.3354 9.7020 8.1814
O -0.8679 9.8913 3.6530
O -1.4591 7.1655 6.7005
O 0.0084 12.4278 2.1721
O 0.3341 7.3566 4.6658
O 1.8016 12.2368 0.1374
O 1.7710 7.5937 0.5847
O 0.3036 11.9996 5.1130
O -0.3646 0.9513 7.7555
O 1.1029 5.5798 3.2271
O 0.4467 9.2708 8.0611
O 1.9142 10.3225 3.5327
O 2.8713 1.2874 1.4021
O 1.4038 5.2437 5.9305
O 2.6650 7.8185 3.1262
O 1.1976 11.7748 7.6546
O 2.1547 2.7397 5.5241
O 3.6221 3.7914 0.9957
O 2.9660 7.4824 5.8296
O 4.4334 12.1109 1.3013
O 3.7653 1.0626 3.9437
O 2.2978 5.4685 8.4721
O 2.2673 0.8255 8.9193
O 3.7347 5.7057 4.3910
O 4.0605 0.6344 6.8846
O 5.5279 5.8967 2.3563
O 4.9368 3.1709 5.4037
O 6.4043 3.3602 0.8754
```

Calculated values
Size of the total moment, μB per formula unit: 5.06

Which one sits at the bottom of the stability order? two does.

--- one ---
VASP calculation (PBE with a Hubbard U) on a geometry-optimized MnRe2H2O10 structure.

Geometry as extended XYZ:
```
15
Lattice="7.2444 -2.9365 0.0000 7.2444 2.9365 0.0000 -2.0746 0.0000 5.1876" Properties=species:S:1:pos:R:3 pbc="T T T"
Mn 0.0000 0.0000 0.0000
Re 4.0915 0.0000 3.0538
Re 8.3228 0.0000 2.1337
H 2.5482 0.0000 0.0349
H 9.8661 0.0000 5.1526
O -0.3123 0.0000 4.6216
O 4.8276 1.4443 3.7677
O 2.3894 0.0000 3.3679
O 7.5867 1.4443 1.4199
O 4.3200 0.0000 1.3266
O 8.0944 0.0000 3.8610
O 4.8276 -1.4443 3.7677
O 10.0249 0.0000 1.8197
O 7.5867 -1.4443 1.4199
O 12.7266 0.0000 0.5659
```

Calculated values
Size of the total moment, μB per formula unit: 3.00

--- two ---
VASP calculation (PBE with a Hubbard U) on a geometry-optimized MnRe2H2O10 structure.

Geometry as extended XYZ:
```
15
Lattice="7.6191 -2.9208 0.0000 7.6191 2.9208 0.0000 -1.9512 0.0000 5.6980" Properties=species:S:1:pos:R:3 pbc="T T T"
Mn 0.0000 0.0000 0.0000
Re 5.3071 0.0000 0.7667
Re 7.9799 0.0000 4.9313
H -0.7382 0.0000 3.1461
H 14.0252 0.0000 2.5519
O 1.0009 0.0000 1.6718
O 6.3295 1.4527 0.6567
O 2.1914 0.0000 5.1821
O 6.9574 1.4527 5.0412
O 4.4835 0.0000 2.2884
O 8.8034 0.0000 3.4096
O 6.3295 -1.4527 0.6567
O 11.0956 0.0000 0.5159
O 6.9574 -1.4527 5.0412
O 12.2861 0.0000 4.0262
```

Calculated values
Size of the total moment, μB per formula unit: 1.00

Which one sits at the bottom of the stability order? two does.

--- one ---
VASP calculation (PBE with a Hubbard U) on a geometry-optimized Mn5H8SO12 structure.

Geometry as extended XYZ:
```
52
Lattice="7.2904 0.0000 0.0000 -2.0409 8.8591 0.0000 -2.2313 -3.5074 8.8868" Properties=species:S:1:pos:R:3 pbc="T T T"
Mn -1.4815 1.2389 3.8228
Mn -2.3906 1.3964 6.9100
Mn -1.3454 -1.4841 5.8716
Mn 0.9997 1.2596 0.8001
Mn -1.6179 4.4701 8.3823
Mn 4.6362 0.8815 0.5045
Mn 2.0186 4.0920 8.0867
Mn 4.3637 6.8357 3.0151
Mn 5.4088 3.9552 1.9768
Mn 4.4997 4.1127 5.0640
H -3.5255 5.7225 7.4198
H -1.2884 6.4877 1.1590
H -0.2601 3.7768 3.9379
H 0.9429 0.8007 3.3366
H -0.6353 3.2015 6.6501
H 1.0813 6.8119 0.4234
H -0.0424 6.2511 5.1752
H 2.7040 -0.7537 3.0682
H 0.3142 6.1053 5.8185
H 3.0606 -0.8995 3.7116
H 1.9369 -1.4603 8.4634
H 3.6535 2.1502 2.2367
H 2.0754 4.5509 5.5502
H 3.2783 1.5748 4.9489
H 4.3067 -1.1361 7.7277
H 6.5438 -0.3709 1.4670
S 0.9552 1.0840 6.4617
S 2.0631 4.2676 2.4251
O -3.4064 3.9511 8.7439
O -1.5267 5.9181 1.9652
O -2.4676 6.0940 4.7503
O -1.1741 3.3762 3.8901
O -0.7949 -2.4424 7.5378
O 0.2073 0.8397 2.6781
O -1.6115 3.3469 6.8177
O -0.4992 0.7582 6.0210
O 2.8130 0.3617 0.9041
O 1.6942 5.1288 1.3107
O 2.0890 2.8298 1.9858
O 1.2536 4.4360 3.6454
O 1.7646 0.9156 5.2414
O 0.9292 2.5218 6.9009
O 1.3240 0.2228 7.5760
O 0.2052 4.9899 7.9826
O 3.5174 4.5934 2.8658
O 4.6297 2.0047 2.0691
O 2.8109 4.5119 6.2087
O 3.8131 7.7940 1.3489
O 4.1924 1.9754 4.9967
O 5.4858 -0.7424 4.1364
O 4.5449 -0.5665 6.9215
O 6.4246 1.4005 0.1428
```

Calculated values
Size of the total moment, μB per formula unit: 21.00

--- two ---
VASP calculation (PBE with a Hubbard U) on a geometry-optimized Mn5H8SO12 structure.

Geometry as extended XYZ:
```
52
Lattice="7.6853 0.0000 0.0000 -0.7951 8.7826 0.0000 -3.2862 -2.0399 8.5586" Properties=species:S:1:pos:R:3 pbc="T T T"
Mn -1.3027 2.9125 2.6492
Mn -0.5669 5.7823 0.2450
Mn -1.8751 0.8807 5.4009
Mn 1.5010 0.0942 1.9354
Mn -1.2486 6.5967 7.5528
Mn 4.8527 0.1461 1.0058
Mn 2.1031 6.6485 6.6232
Mn 5.4792 5.8620 3.1577
Mn 4.1710 0.9604 8.3135
Mn 4.9068 3.8302 5.9094
H -3.4178 5.9776 8.2840
H -0.4774 0.0767 5.1996
H -0.5722 5.3164 5.6184
H -0.1161 2.5416 5.1382
H 1.2147 2.6642 2.0203
H 0.1511 -0.9941 6.7176
H -0.4461 3.1737 8.0276
H 0.0485 3.7322 7.9393
H 3.5556 3.0106 0.6193
H 4.0502 3.5690 0.5310
H 3.4530 7.7368 1.8409
H 2.3894 4.0785 6.5383
H 3.7202 4.2012 3.4204
H 4.1763 1.4263 2.9402
H 4.0816 6.6660 3.3589
H 7.0219 0.7652 0.2746
S 1.0624 5.5971 3.4830
S 2.5418 1.1457 5.0756
O -2.2736 -1.4357 7.0590
O -2.7353 2.6304 7.7297
O -2.2298 0.0035 7.1132
O -1.0550 2.5511 4.8250
O 0.5393 7.4614 0.1815
O 0.4935 2.0852 1.7005
O -0.3443 5.0300 3.2243
O -1.4842 5.5215 5.9255
O 1.0896 6.9804 2.9748
O 3.0868 0.7302 0.6702
O 2.0117 4.7038 2.8246
O 1.2181 5.5842 4.9672
O 2.3860 1.1585 3.5914
O 1.5925 2.0390 5.7339
O 0.5173 6.0125 7.8884
O 2.5145 -0.2376 5.5838
O 5.0883 1.2212 2.6330
O 3.9484 1.7127 5.3343
O 3.1107 4.6575 6.8581
O 3.0648 -0.7187 8.3771
O 4.6591 4.1916 3.7335
O 5.8339 6.7392 1.4453
O 6.3395 4.1123 0.8288
O 5.8777 8.1785 1.4996
```

Calculated values
Size of the total moment, μB per formula unit: 21.00

--- three ---
VASP calculation (PBE with a Hubbard U) on a geometry-optimized Mn5H8SO12 structure.

Geometry as extended XYZ:
```
52
Lattice="7.7252 0.0000 0.0000 -1.3735 8.5854 0.0000 -2.0128 -1.7089 8.3002" Properties=species:S:1:pos:R:3 pbc="T T T"
Mn -0.3348 1.4261 0.5285
Mn -1.1353 4.7257 1.5416
Mn -1.2144 1.9042 3.7018
Mn 0.2369 7.8942 3.1007
Mn 0.6825 -0.4248 6.3398
Mn 3.6564 7.3013 1.9604
Mn 4.1019 -1.0177 5.1995
Mn 5.5533 4.9724 4.5984
Mn 5.4742 2.1509 6.7586
Mn 4.6737 5.4504 7.7717
H -1.9407 7.1966 3.8699
H 0.3095 4.1508 3.9021
H 1.2801 3.5732 0.7916
H 0.8068 6.4373 1.0908
H 2.0398 0.3728 0.2821
H 1.1918 1.7977 2.5605
H 0.2243 2.1502 5.9539
H 1.8710 5.7576 3.2622
H 2.4679 1.1189 5.0380
H 4.1146 4.7264 2.3463
H 3.1470 5.0788 5.7397
H 2.2990 6.5037 8.0181
H 3.5320 0.4392 7.2094
H 3.0588 3.3033 7.5086
H 4.0294 2.7257 4.3981
H 6.2796 -0.3200 4.4303
S 0.3541 4.8382 7.0423
S 3.9848 2.0384 1.2579
O -0.5566 3.9698 3.4981
O 0.3461 3.4971 0.5144
O -1.2155 6.9552 4.4808
O -0.1134 6.6344 1.3880
O -0.6177 -1.2171 7.8496
O 0.4994 1.1047 2.5459
O -0.4272 1.4368 5.7703
O -1.0970 4.5805 6.6456
O 2.4655 6.3294 0.2191
O 0.7160 6.2564 6.7089
O 1.2364 3.9036 6.3036
O 2.2943 0.1642 4.9872
O 2.0445 6.7123 3.3130
O 3.1024 2.9730 1.9965
O 3.6229 0.6201 1.5913
O 1.8734 0.5471 8.0811
O 5.4359 2.2961 1.6546
O 4.7661 5.4397 2.5299
O 3.8394 5.7718 5.7543
O 4.9566 8.0936 0.4505
O 4.4522 0.2421 6.9122
O 5.5544 -0.0786 3.8194
O 3.9927 3.3794 7.7858
O 4.8954 2.9068 4.8021
```

Calculated values
Size of the total moment, μB per formula unit: 25.00

Which one sits at the bottom of the stability order? two does.